InSnCl3: relaxed, PBE-GGA.

a = 8.1018 Å, b = 7.9332 Å, c = 5.7765 Å
α = 90.00°, β = 91.91°, γ = 90.00°
Closest atoms and distances in Å follow each position.
Space group Cm (No. 8)
Symmetry-distinct sites (fractional):
In1 0.0000 0.0000 0.0000 (multiplicity 2)  3 Cl 2.98-3.01
Sn1 0.3996 0.0000 0.3887 (multiplicity 2)  5 Cl 2.65-2.95
Cl1 0.1479 0.2291 0.3603 (multiplicity 4)  2 Sn 2.73-2.95, 1 In 2.98
Cl2 0.3664 0.0000 0.9314 (multiplicity 2)  1 Sn 2.65

Results
- calculated formation energy (eV per atom) = -1.28
- largest piezoelectric modulus (C/m2) = 1.86
- energy (eV per atom) = -3.3767
- mass density (Mg/m³) = 3.0
- E (MP2020) (eV/cell) = -37.45
- total magnetization (μB/cell) = 0.0